# UH6C3SeN2O7 GGA-PBE optimized geometry
data_UH6C3SeN2O7
_cell_length_a 9.142
_cell_length_b 10.881
_cell_length_c 13.616
_cell_angle_alpha 90.00
_cell_angle_beta 131.23
_cell_angle_gamma 90.00
_space_group_name_H-M_alt 'P 1 21/c 1'
_space_group_IT_number 14
loop_
_space_group_symop_operation_xyz
'x,y,z'
'-x,-y,-z'
'-x,y+1/2,-z+1/2'
'x,-y+1/2,z+1/2'
loop_
_atom_site_label
_atom_site_fract_x
_atom_site_fract_y
_atom_site_fract_z
_atom_site_occupancy
U1 0.071 0.204 0.189 1
H1 0.202 0.139 0.524 1
H2 0.271 0.514 0.028 1
H3 0.328 0.653 0.174 1
H4 0.390 0.675 0.492 1
H5 0.418 0.141 0.002 1
H6 0.463 0.083 0.184 1
C1 0.300 0.041 0.683 1
C2 0.304 0.622 0.318 1
C3 0.377 0.584 0.249 1
Se1 0.009 0.119 0.898 1
N1 0.256 0.056 0.570 1
N2 0.435 0.645 0.444 1
O1 0.096 0.531 0.436 1
O2 0.122 0.632 0.251 1
O3 0.142 0.179 0.861 1
O4 0.142 0.703 0.937 1
O5 0.143 0.184 0.051 1
O6 0.276 0.107 0.312 1
O7 0.284 0.126 0.739 1
# Crystal system: monoclinic
# Total magnetization, μB per formula unit: 0.00
# Energy of formation, kJ per mole of atoms: -126.19